{
  "formula": "TbPmRh2",
  "functional": "PBE",
  "state": "optimized geometry",
  "lattice_angstrom": [[6.994, 0.000, 0.000], [0.000, 6.994, 0.000], [0.000, 0.000, 6.994]],
  "species": ["Tb", "Tb", "Tb", "Tb", "Pm", "Pm", "Pm", "Pm", "Rh", "Rh", "Rh", "Rh", "Rh", "Rh", "Rh", "Rh"],
  "frac_coords": [[0.000, 0.000, 0.000], [0.000, 0.500, 0.500], [0.500, 0.000, 0.500], [0.500, 0.500, 0.000], [0.000, 0.000, 0.500], [0.000, 0.500, 0.000], [0.500, 0.000, 0.000], [0.500, 0.500, 0.500], [0.250, 0.250, 0.250], [0.250, 0.250, 0.750], [0.250, 0.750, 0.250], [0.250, 0.750, 0.750], [0.750, 0.250, 0.250], [0.750, 0.250, 0.750], [0.750, 0.750, 0.250], [0.750, 0.750, 0.750]]
}

---

{
  "formula": "PmZnRh2",
  "functional": "PBE",
  "state": "optimized geometry",
  "lattice_angstrom": [[6.568, 0.000, 0.000], [0.000, 6.568, 0.000], [0.000, 0.000, 6.568]],
  "species": ["Pm", "Pm", "Pm", "Pm", "Zn", "Zn", "Zn", "Zn", "Rh", "Rh", "Rh", "Rh", "Rh", "Rh", "Rh", "Rh"],
  "frac_coords": [[0.000, 0.000, 0.000], [0.000, 0.500, 0.500], [0.500, 0.000, 0.500], [0.500, 0.500, 0.000], [0.000, 0.000, 0.500], [0.000, 0.500, 0.000], [0.500, 0.000, 0.000], [0.500, 0.500, 0.500], [0.250, 0.250, 0.250], [0.250, 0.250, 0.750], [0.250, 0.750, 0.250], [0.250, 0.750, 0.750], [0.750, 0.250, 0.250], [0.750, 0.250, 0.750], [0.750, 0.750, 0.250], [0.750, 0.750, 0.750]]
}

---

Summary of ΔH_f (0 K) in eV/atom
-0.7583 -0.5221
(order as listed above)
Summary of uncorrected energy in eV/atom
-6.787 -5.707
(order as listed above)